Here is Tb2Zr8O19 after structural relaxation from Materials Project. Energies are from PBE.

Calculated values
calculated formation energy = -3743 meV/atom
size of the total moment = 0.00 μB per cell

Unit cell a=3.6477 b=3.6477 c=25.7718 alpha=90.00 beta=90.00 gamma=90.00
Space group P-4m2 (No. 115)
Inequivalent atoms, fractional coordinates:
Tb: 0.0000 0.5000 0.0565 (multiplicity 2)
Zr: 0.0000 0.5000 0.2522 (multiplicity 2)
Zr: 0.0000 0.5000 0.4504 (multiplicity 2)
Zr: 0.0000 0.5000 0.6488 (multiplicity 2)
Zr: 0.0000 0.5000 0.8469 (multiplicity 2)
O: 0.0000 0.0000 0.0000 (multiplicity 1)
O: 0.0000 0.0000 0.1094 (multiplicity 2)
O: 0.0000 0.0000 0.2076 (multiplicity 2)
O: 0.0000 0.0000 0.3055 (multiplicity 2)
O: 0.0000 0.0000 0.4029 (multiplicity 2)
O: 0.0000 0.0000 0.5000 (multiplicity 1)
O: 0.5000 0.5000 0.0981 (multiplicity 2)
O: 0.5000 0.5000 0.1974 (multiplicity 2)
O: 0.5000 0.5000 0.2975 (multiplicity 2)
O: 0.5000 0.5000 0.3984 (multiplicity 2)
O: 0.5000 0.5000 0.5000 (multiplicity 1)

Here is TbZrO14 after structural relaxation from Materials Project. Energies are from PBE.

Calculated values
calculated formation energy = -658 meV/atom
size of the total moment = 0.01 μB per cell

Unit cell a=10.8099 b=10.8099 c=10.8099 alpha=90.00 beta=90.00 gamma=90.00
Space group Fd-3m (No. 227, origin choice 2)
Inequivalent atoms, fractional coordinates:
Tb: 0.1250 0.1250 0.1250 (multiplicity 8)
Zr: 0.1250 0.1250 0.6250 (multiplicity 8)
O: 0.0000 0.0000 0.0000 (multiplicity 16)
O: 0.0310 0.0310 0.3685 (multiplicity 96)

Here is Tc2O7 after structural relaxation from Materials Project. Energies are from PBE.

Calculated values
calculated formation energy = -1799 meV/atom

Unit cell a=5.8914 b=14.2691 c=7.8197 alpha=90.00 beta=90.00 gamma=90.00
Space group Pbca (No. 61)
Inequivalent atoms, fractional coordinates:
Tc: 0.1945 0.1035 0.0125 (multiplicity 8)
O: 0.0000 0.0000 0.0000 (multiplicity 4)
O: 0.0601 0.2039 0.9511 (multiplicity 8)
O: 0.0789 0.5849 0.8794 (multiplicity 8)
O: 0.2059 0.6170 0.2164 (multiplicity 8)

Here is TlTcO2 after structural relaxation from Materials Project. Energies are from PBE.

Calculated values
calculated formation energy = -800 meV/atom
size of the total moment = 27.97 μB per cell

Unit cell a=6.6258 b=6.6258 c=12.8488 alpha=90.00 beta=90.00 gamma=90.00
Space group I4_1/amd (No. 141, origin choice 2)
Inequivalent atoms, fractional coordinates:
Tl: 0.0000 0.0000 0.0000 (multiplicity 8)
Tc: 0.0000 0.0000 0.5000 (multiplicity 8)
O: 0.0000 0.0660 0.2334 (multiplicity 16)

Here is TlTcO3 after structural relaxation from Materials Project. Energies are from PBE.

Calculated values
calculated formation energy = -1504 meV/atom
size of the total moment = 0.00 μB per cell

Unit cell a=3.9907 b=3.9907 c=3.9907 alpha=90.00 beta=90.00 gamma=90.00
Space group Pm-3m (No. 221)
Inequivalent atoms, fractional coordinates:
Tl: 0.0000 0.0000 0.0000 (multiplicity 1)
Tc: 0.5000 0.5000 0.5000 (multiplicity 1)
O: 0.0000 0.5000 0.5000 (multiplicity 3)

Here is TeO3 after structural relaxation from Materials Project. Energies are from PBE.

Calculated values
calculated formation energy = -1308 meV/atom

Unit cell a=5.2733 b=7.3763 c=5.1070 alpha=90.00 beta=90.00 gamma=90.00
Space group Pnma (No. 62)
Inequivalent atoms, fractional coordinates:
Te: 0.0000 0.0000 0.0000 (multiplicity 4)
O: 0.0215 0.2500 0.1231 (multiplicity 4)
O: 0.1899 0.0599 0.6839 (multiplicity 8)

Here is TeO3 after structural relaxation from Materials Project. Energies are from PBE.

Calculated values
calculated formation energy = -1025 meV/atom
size of the total moment = 8.00 μB per cell

Unit cell a=12.1175 b=8.3163 c=4.8127 alpha=90.00 beta=90.00 gamma=90.00
Space group Pna2_1 (No. 33)
Inequivalent atoms, fractional coordinates:
Te: 0.0629 0.1414 0.0000 (multiplicity 4)
Te: 0.1094 0.5329 0.6549 (multiplicity 4)
O: 0.0184 0.4077 0.3925 (multiplicity 4)
O: 0.0405 0.0512 0.6429 (multiplicity 4)
O: 0.0752 0.7366 0.4668 (multiplicity 4)
O: 0.1443 0.3351 0.8460 (multiplicity 4)
O: 0.2186 0.6434 0.8752 (multiplicity 4)
O: 0.2420 0.5203 0.4368 (multiplicity 4)

Here is TeO3 after structural relaxation from Materials Project. Energies are from PBE.

Calculated values
calculated formation energy = -643 meV/atom
size of the total moment = 0.00 μB per cell

Unit cell a=3.7723 b=3.7723 c=11.7544 alpha=90.00 beta=90.00 gamma=120.00
Space group P6_3/mmc (No. 194)
Inequivalent atoms, fractional coordinates:
Te: 0.3333 0.6667 0.2500 (multiplicity 2)
O: 0.0000 0.0000 0.2500 (multiplicity 2)
O: 0.3333 0.6667 0.0973 (multiplicity 4)

Here is TeO after structural relaxation from Materials Project. Energies are from PBE.

Calculated values
calculated formation energy = -308 meV/atom

Unit cell a=3.2152 b=3.2152 c=7.0646 alpha=90.00 beta=90.00 gamma=120.00
Space group P6_3/mmc (No. 194)
Inequivalent atoms, fractional coordinates:
Te: 0.3333 0.6667 0.2500 (multiplicity 2)
O: 0.0000 0.0000 0.0000 (multiplicity 2)

Here is TeO3 after structural relaxation from Materials Project. Energies are from PBE.

Calculated values
calculated formation energy = -644 meV/atom
size of the total moment = 0.00 μB per cell

Unit cell a=6.4744 b=6.4744 c=11.3470 alpha=90.00 beta=90.00 gamma=120.00
Space group P6_3cm (No. 185)
Inequivalent atoms, fractional coordinates:
Te: 0.0000 0.3305 0.0000 (multiplicity 6)
O: 0.0000 0.0000 0.4559 (multiplicity 2)
O: 0.0000 0.2686 0.1547 (multiplicity 6)
O: 0.0000 0.3862 0.8447 (multiplicity 6)
O: 0.3333 0.6667 0.0249 (multiplicity 4)

Here is TeO3 after structural relaxation from Materials Project. Energies are from PBE.

Calculated values
calculated formation energy = -1342 meV/atom

Unit cell a=5.2392 b=9.0810 c=5.3818 alpha=90.00 beta=105.16 gamma=90.00
Space group C2/m (No. 12)
Inequivalent atoms, fractional coordinates:
Te: 0.0000 0.1667 0.0000 (multiplicity 4)
O: 0.1787 0.0000 0.2128 (multiplicity 4)
O: 0.2464 0.3107 0.2126 (multiplicity 8)

Here is TeO3 after structural relaxation from Materials Project. Energies are from PBE.

Calculated values
calculated formation energy = -1283 meV/atom
size of the total moment = 0.00 μB per cell

Unit cell a=9.7243 b=8.0934 c=5.1445 alpha=90.00 beta=90.00 gamma=90.00
Space group Pna2_1 (No. 33)
Inequivalent atoms, fractional coordinates:
Te: 0.0896 0.1205 0.0000 (multiplicity 4)
Te: 0.1253 0.5280 0.2947 (multiplicity 4)
O: 0.0009 0.0694 0.3310 (multiplicity 4)
O: 0.0251 0.5805 0.9747 (multiplicity 4)
O: 0.0680 0.7513 0.4008 (multiplicity 4)
O: 0.1806 0.3140 0.1581 (multiplicity 4)
O: 0.2074 0.1416 0.6788 (multiplicity 4)
O: 0.2460 0.4943 0.6014 (multiplicity 4)